Record 1
Compound: La3Co
Source: Materials Project
Functional: GGA-PBE
Structure: relaxed

The calculated total energy is -5.580 eV per atom.

The space group is Pnma (No. 62) and the conventional cell measures 7.0581, 10.0446 and 6.5359 Å, with angles of 90.00, 90.00 and 90.00 degrees. The inequivalent atoms are La at (0.0510, 0.2500, 0.1454), La at (0.1658, 0.0717, 0.6726) and Co at (0.1185, 0.7500, 0.4378).

Record 2
Compound: LaMg6Co
Source: Materials Project
Functional: GGA-PBE
Structure: relaxed

The calculation puts the polymorph energy (0 for the lowest one) at 45 meV/atom. The total magnetization comes out at 0.003 μB per formula unit.

The space group is Amm2 (No. 38) and the conventional cell measures 4.8915, 6.4628 and 11.5198 Å, with angles of 90.00, 90.00 and 90.00 degrees. The inequivalent atoms are La at (0.0000, 0.0000, 0.0000), Mg at (0.0000, 0.0000, 0.4699), Mg at (0.0000, 0.2389, 0.2345), Mg at (0.5000, 0.0000, 0.6383), Mg at (0.5000, 0.2345, 0.3753) and Co at (0.5000, 0.0000, 0.1456).